Entry one
The following is a DFT calculation (PBE with a Hubbard U) of a geometry-optimized CaFe2O4 structure.

mass density	4.3	g/cm³
volume	168.0	Å³/cell
magnetization	1.4289	μB per atom

a = 7.162 Å, b = 7.162 Å, c = 9.436 Å
α = 124.25°, β = 124.25°, γ = 25.14°
Fractional positions:
Ca: 0.155 0.155 0.171
Ca: 0.845 0.845 0.829
Fe: 0.130 0.130 0.818
Fe: 0.363 0.363 0.531
Fe: 0.637 0.637 0.469
Fe: 0.870 0.870 0.182
O: 0.044 0.044 0.307
O: 0.261 0.261 0.619
O: 0.343 0.343 0.008
O: 0.366 0.366 0.314
O: 0.634 0.634 0.686
O: 0.657 0.657 0.992
O: 0.739 0.739 0.381
O: 0.956 0.956 0.693



Entry two
The following is a DFT calculation (PBE with a Hubbard U) of a geometry-optimized CaFe2O4 structure.

mass density	4.1	g/cm³
volume	526.5	Å³/cell
magnetization	1.4286	μB per atom

a = 6.270 Å, b = 6.321 Å, c = 15.284 Å
α = 89.66°, β = 89.98°, γ = 60.36°
Fractional positions:
Ca: 0.000 0.000 0.000
Ca: 0.003 0.993 0.372
Ca: 0.178 0.649 0.208
Ca: 0.508 0.987 0.874
Ca: 0.682 0.646 0.710
Ca: 0.840 0.321 0.540
Fe: 0.018 0.481 0.877
Fe: 0.018 0.968 0.754
Fe: 0.189 0.147 0.206
Fe: 0.334 0.334 0.660
Fe: 0.342 0.821 0.542
Fe: 0.344 0.323 0.035
Fe: 0.346 0.306 0.420
Fe: 0.502 0.480 0.874
Fe: 0.662 0.676 0.331
Fe: 0.678 0.159 0.208
Fe: 0.691 0.632 0.083
Fe: 0.841 0.820 0.541
O: 0.005 0.512 0.617
O: 0.020 0.963 0.621
O: 0.034 0.455 0.120
O: 0.172 0.655 0.465
O: 0.179 0.203 0.957
O: 0.196 0.128 0.464
O: 0.198 0.612 0.952
O: 0.329 0.341 0.789
O: 0.340 0.848 0.284
O: 0.342 0.793 0.800
O: 0.352 0.293 0.287
O: 0.486 0.514 0.618
O: 0.505 0.004 0.123
O: 0.511 0.982 0.617
O: 0.520 0.458 0.120
O: 0.621 0.205 0.955
O: 0.660 0.681 0.463
O: 0.674 0.129 0.464
O: 0.692 0.629 0.956
O: 0.815 0.846 0.283
O: 0.820 0.340 0.284
O: 0.846 0.310 0.804
O: 0.870 0.794 0.801
O: 0.995 0.022 0.146



Entry three
The following is a DFT calculation (PBE with a Hubbard U) of a geometry-optimized CaFe2O4 structure.

mass density	4.1	g/cm³
volume	176.7	Å³/cell
magnetization	0.7143	μB per atom

a = 6.378 Å, b = 6.378 Å, c = 6.378 Å
α = 58.38°, β = 58.38°, γ = 58.38°
Fractional positions:
Ca: 0.000 0.000 0.000
Ca: 0.379 0.379 0.379
Fe: 0.004 0.004 0.489
Fe: 0.004 0.489 0.004
Fe: 0.489 0.004 0.004
Fe: 0.617 0.617 0.617
O: 0.236 0.743 0.743
O: 0.237 0.237 0.237
O: 0.250 0.250 0.802
O: 0.250 0.802 0.250
O: 0.743 0.236 0.743
O: 0.743 0.743 0.236
O: 0.753 0.753 0.753
O: 0.802 0.250 0.250



Entry four
The following is a DFT calculation (PBE with a Hubbard U) of a geometry-optimized CaFe2O4 structure.

mass density	4.1	g/cm³
volume	528.3	Å³/cell
magnetization	1.4286	μB per atom

a = 6.283 Å, b = 6.283 Å, c = 15.451 Å
α = 90.00°, β = 90.00°, γ = 120.00°
Fractional positions:
Ca: 0.000 0.000 0.000
Ca: 0.000 0.000 0.243
Ca: 0.333 0.667 0.336
Ca: 0.333 0.667 0.584
Ca: 0.333 0.667 0.959
Ca: 0.667 0.333 0.668
Fe: 0.000 0.000 0.618
Fe: 0.006 0.503 0.126
Fe: 0.161 0.323 0.787
Fe: 0.161 0.839 0.787
Fe: 0.335 0.167 0.456
Fe: 0.497 0.503 0.126
Fe: 0.497 0.994 0.126
Fe: 0.667 0.333 0.290
Fe: 0.667 0.333 0.909
Fe: 0.677 0.839 0.787
Fe: 0.833 0.167 0.456
Fe: 0.833 0.665 0.456
O: 0.000 0.000 0.389
O: 0.000 0.000 0.854
O: 0.001 0.500 0.860
O: 0.144 0.288 0.534
O: 0.144 0.856 0.534
O: 0.182 0.363 0.059
O: 0.182 0.818 0.059
O: 0.282 0.141 0.710
O: 0.333 0.667 0.195
O: 0.333 0.667 0.729
O: 0.388 0.194 0.202
O: 0.500 0.500 0.860
O: 0.500 0.999 0.860
O: 0.524 0.048 0.381
O: 0.524 0.476 0.381
O: 0.637 0.818 0.059
O: 0.667 0.333 0.036
O: 0.667 0.333 0.525
O: 0.712 0.856 0.534
O: 0.806 0.194 0.202
O: 0.806 0.612 0.202
O: 0.859 0.141 0.710
O: 0.859 0.718 0.710
O: 0.952 0.476 0.381



Most stable structure: entry four



Entry one
The following is a DFT calculation (PBE with a Hubbard U) of a geometry-optimized Ca2Fe2O5 structure.

mass density	3.9	g/cm³
volume	230.3	Å³/cell
magnetization	1.1111	μB per atom

a = 6.031 Å, b = 6.507 Å, c = 6.531 Å
α = 109.21°, β = 96.87°, γ = 103.22°
Fractional positions:
Ca: 0.216 0.391 0.482
Ca: 0.258 0.012 0.882
Ca: 0.742 0.988 0.118
Ca: 0.784 0.609 0.518
Fe: 0.162 0.702 0.155
Fe: 0.500 0.000 0.500
Fe: 0.500 0.500 0.000
Fe: 0.838 0.298 0.845
O: 0.141 0.355 0.050
O: 0.157 0.748 0.478
O: 0.282 0.032 0.251
O: 0.345 0.688 0.893
O: 0.442 0.266 0.702
O: 0.558 0.734 0.298
O: 0.655 0.312 0.107
O: 0.718 0.968 0.749
O: 0.843 0.252 0.522
O: 0.859 0.645 0.950



Entry two
The following is a DFT calculation (PBE with a Hubbard U) of a geometry-optimized Ca2Fe2O5 structure.

mass density	4.0	g/cm³
volume	225.5	Å³/cell
magnetization	1.1111	μB per atom

a = 5.462 Å, b = 10.490 Å, c = 3.936 Å
α = 90.00°, β = 90.00°, γ = 90.00°
Fractional positions:
Ca: 0.222 0.115 0.000
Ca: 0.278 0.615 0.000
Ca: 0.722 0.385 0.000
Ca: 0.778 0.885 0.000
Fe: 0.238 0.364 0.500
Fe: 0.262 0.864 0.500
Fe: 0.738 0.136 0.500
Fe: 0.762 0.636 0.500
O: 0.000 0.000 0.500
O: 0.106 0.701 0.500
O: 0.204 0.393 0.000
O: 0.296 0.893 0.000
O: 0.394 0.201 0.500
O: 0.500 0.500 0.500
O: 0.606 0.799 0.500
O: 0.704 0.107 0.000
O: 0.796 0.607 0.000
O: 0.894 0.299 0.500



Most stable structure: entry two



Entry one
The following is a DFT calculation (PBE with a Hubbard U) of a geometry-optimized Ca2Fe2O5 structure.

mass density	3.7	g/cm³
volume	243.9	Å³/cell
magnetization	1.1111	μB per atom

a = 8.237 Å, b = 5.515 Å, c = 5.371 Å
α = 90.00°, β = 90.00°, γ = 90.00°
Fractional positions:
Ca: 0.000 0.206 0.000
Ca: 0.000 0.715 0.406
Ca: 0.500 0.285 0.906
Ca: 0.500 0.794 0.500
Fe: 0.220 0.752 0.932
Fe: 0.280 0.248 0.432
Fe: 0.720 0.248 0.432
Fe: 0.780 0.752 0.932
O: 0.000 0.794 0.820
O: 0.187 0.974 0.238
O: 0.190 0.473 0.175
O: 0.310 0.527 0.675
O: 0.313 0.026 0.738
O: 0.500 0.206 0.320
O: 0.687 0.026 0.738
O: 0.690 0.527 0.675
O: 0.810 0.473 0.175
O: 0.813 0.974 0.238



Entry two
The following is a DFT calculation (PBE with a Hubbard U) of a geometry-optimized Ca2Fe2O5 structure.

mass density	3.9	g/cm³
volume	231.9	Å³/cell
magnetization	1.1111	μB per atom

a = 8.424 Å, b = 8.424 Å, c = 8.424 Å
α = 55.91°, β = 140.51°, γ = 142.06°
Fractional positions:
Ca: 0.029 0.107 0.136
Ca: 0.029 0.393 0.422
Ca: 0.971 0.607 0.578
Ca: 0.971 0.893 0.864
Fe: 0.471 0.790 0.181
Fe: 0.489 0.489 0.000
Fe: 0.489 0.989 0.500
Fe: 0.610 0.290 0.819
O: 0.015 0.646 0.869
O: 0.388 0.102 0.567
O: 0.388 0.321 0.785
O: 0.493 0.224 0.238
O: 0.493 0.755 0.769
O: 0.535 0.602 0.215
O: 0.535 0.821 0.433
O: 0.777 0.146 0.131
O: 0.985 0.255 0.762
O: 0.985 0.724 0.231



Entry three
The following is a DFT calculation (PBE with a Hubbard U) of a geometry-optimized Ca2Fe2O5 structure.

mass density	3.9	g/cm³
volume	461.3	Å³/cell

a = 5.512 Å, b = 14.834 Å, c = 5.642 Å
α = 90.00°, β = 90.00°, γ = 90.00°
Fractional positions:
Ca: 0.032 0.109 0.022
Ca: 0.032 0.391 0.022
Ca: 0.468 0.609 0.522
Ca: 0.468 0.891 0.522
Ca: 0.532 0.109 0.478
Ca: 0.532 0.391 0.478
Ca: 0.968 0.609 0.978
Ca: 0.968 0.891 0.978
Fe: 0.000 0.000 0.500
Fe: 0.000 0.500 0.500
Fe: 0.054 0.250 0.564
Fe: 0.446 0.750 0.064
Fe: 0.500 0.000 0.000
Fe: 0.500 0.500 0.000
Fe: 0.554 0.250 0.936
Fe: 0.946 0.750 0.436
O: 0.033 0.641 0.578
O: 0.033 0.859 0.578
O: 0.099 0.750 0.126
O: 0.223 0.518 0.223
O: 0.223 0.982 0.223
O: 0.277 0.018 0.723
O: 0.277 0.482 0.723
O: 0.401 0.250 0.626
O: 0.467 0.141 0.078
O: 0.467 0.359 0.078
O: 0.533 0.641 0.922
O: 0.533 0.859 0.922
O: 0.599 0.750 0.374
O: 0.723 0.518 0.277
O: 0.723 0.982 0.277
O: 0.777 0.018 0.777
O: 0.777 0.482 0.777
O: 0.901 0.250 0.874
O: 0.967 0.141 0.422
O: 0.967 0.359 0.422



Entry four
The following is a DFT calculation (PBE with a Hubbard U) of a geometry-optimized Ca2Fe2O5 structure.

mass density	3.9	g/cm³
volume	233.5	Å³/cell
magnetization	1.1111	μB per atom

a = 8.397 Å, b = 8.397 Å, c = 5.565 Å
α = 109.03°, β = 109.03°, γ = 124.09°
Fractional positions:
Ca: 0.078 0.365 0.446
Ca: 0.365 0.078 0.446
Ca: 0.635 0.922 0.554
Ca: 0.922 0.635 0.554
Fe: 0.000 0.500 0.000
Fe: 0.309 0.309 0.984
Fe: 0.500 0.000 0.000
Fe: 0.691 0.691 0.016
O: 0.074 0.293 0.963
O: 0.260 0.740 0.500
O: 0.268 0.732 0.000
O: 0.293 0.074 0.963
O: 0.343 0.343 0.661
O: 0.657 0.657 0.339
O: 0.707 0.926 0.037
O: 0.732 0.268 0.000
O: 0.740 0.260 0.500
O: 0.926 0.707 0.037



Most stable structure: entry three



Entry one
The following is a DFT calculation (PBE with a Hubbard U) of a geometry-optimized CaFe4P4O16 structure.

mass density	2.8	g/cm³
volume	384.0	Å³/cell
magnetization	0.7200	μB per atom

a = 5.265 Å, b = 8.596 Å, c = 8.853 Å
α = 89.79°, β = 89.40°, γ = 73.41°
Fractional positions:
Ca: 0.000 0.000 0.000
Fe: 0.026 0.183 0.495
Fe: 0.426 0.326 0.983
Fe: 0.578 0.674 0.015
Fe: 0.952 0.804 0.503
P: 0.121 0.690 0.175
P: 0.369 0.820 0.678
P: 0.607 0.166 0.320
P: 0.885 0.307 0.821
O: 0.013 0.662 0.333
O: 0.124 0.241 0.930
O: 0.160 0.971 0.604
O: 0.260 0.682 0.620
O: 0.270 0.822 0.174
O: 0.321 0.181 0.370
O: 0.322 0.535 0.111
O: 0.356 0.837 0.851
O: 0.630 0.154 0.146
O: 0.653 0.804 0.622
O: 0.692 0.464 0.885
O: 0.712 0.304 0.383
O: 0.729 0.178 0.827
O: 0.813 0.014 0.393
O: 0.885 0.753 0.063
O: 0.988 0.328 0.661



Entry two
The following is a DFT calculation (PBE with a Hubbard U) of a geometry-optimized CaFe4P4O16 structure.

mass density	2.6	g/cm³
volume	415.1	Å³/cell
magnetization	0.7200	μB per atom

a = 5.456 Å, b = 8.712 Å, c = 8.956 Å
α = 92.17°, β = 93.25°, γ = 102.02°
Fractional positions:
Ca: 0.000 0.000 0.000
Fe: 0.292 0.686 0.018
Fe: 0.309 0.229 0.485
Fe: 0.719 0.321 0.006
Fe: 0.725 0.798 0.524
P: 0.206 0.321 0.158
P: 0.211 0.854 0.340
P: 0.754 0.679 0.850
P: 0.826 0.171 0.672
O: 0.037 0.759 0.865
O: 0.060 0.274 0.608
O: 0.167 0.839 0.168
O: 0.178 0.474 0.087
O: 0.227 0.027 0.391
O: 0.330 0.359 0.320
O: 0.361 0.225 0.065
O: 0.456 0.799 0.384
O: 0.591 0.228 0.614
O: 0.621 0.793 0.940
O: 0.654 0.663 0.682
O: 0.692 0.517 0.914
O: 0.817 0.998 0.622
O: 0.847 0.180 0.844
O: 0.936 0.215 0.156
O: 0.990 0.751 0.415



Most stable structure: entry two